Record 1
VASP calculation (PBE) on a relaxed CsReBr4 crystal.

a = 10.6016 Å, b = 13.0694 Å, c = 13.5651 Å
α = 90.00°, β = 90.00°, γ = 90.00°
Last column: nearest neighbours and their distance in Å.
Atoms (fractional coordinates):
Cs1 0.3351 0.6960 0.3669  9 Br 3.78-4.01
Cs2 0.8351 0.8040 0.6331  9 Br 3.78-4.01
Cs3 0.6649 0.1960 0.1331  9 Br 3.78-4.01
Cs4 0.1649 0.3040 0.8669  9 Br 3.78-4.01
Cs5 0.6649 0.3040 0.6331  9 Br 3.78-4.01
Cs6 0.1649 0.1960 0.3669  9 Br 3.78-4.01
Cs7 0.3351 0.8040 0.8669  9 Br 3.78-4.01
Cs8 0.8351 0.6960 0.1331  9 Br 3.78-4.01
Re1 0.5597 0.0145 0.4308  1 Re 2.30, 4 Br 2.49-2.51
Re2 0.0597 0.4855 0.5692  1 Re 2.30, 4 Br 2.49-2.51
Re3 0.4403 0.5145 0.0692  1 Re 2.30, 4 Br 2.49-2.51
Re4 0.9403 0.9855 0.9308  1 Re 2.30, 4 Br 2.49-2.51
Re5 0.4403 0.9855 0.5692  1 Re 2.30, 4 Br 2.49-2.51
Re6 0.9403 0.5145 0.4308  1 Re 2.30, 4 Br 2.49-2.51
Re7 0.5597 0.4855 0.9308  1 Re 2.30, 4 Br 2.49-2.51
Re8 0.0597 0.0145 0.0692  1 Re 2.30, 4 Br 2.49-2.51
Br1 0.5287 0.2015 0.3955  1 Re 2.51
Br2 0.0287 0.2985 0.6045  1 Re 2.51
Br3 0.4713 0.7015 0.1045  1 Re 2.51
Br4 0.9713 0.7985 0.8955  1 Re 2.51
Br5 0.4713 0.7985 0.6045  1 Re 2.51
Br6 0.9713 0.7015 0.3955  1 Re 2.51
Br7 0.5287 0.2985 0.8955  1 Re 2.51
Br8 0.0287 0.2015 0.1045  1 Re 2.51
Br9 0.4137 0.9851 0.2887  1 Re 2.50
Br10 0.9137 0.5149 0.7113  1 Re 2.50
Br11 0.5863 0.4851 0.2113  1 Re 2.50
Br12 0.0863 0.0149 0.7887  1 Re 2.50
Br13 0.5863 0.0149 0.7113  1 Re 2.50
Br14 0.0863 0.4851 0.2887  1 Re 2.50
Br15 0.4137 0.5149 0.7887  1 Re 2.50
Br16 0.9137 0.9851 0.2113  1 Re 2.50
Br17 0.2718 0.0614 0.0027  1 Re 2.50
Br18 0.7718 0.4386 0.9973  1 Re 2.50
Br19 0.7282 0.5614 0.4973  1 Re 2.50
Br20 0.2282 0.9386 0.5027  1 Re 2.50
Br21 0.7282 0.9386 0.9973  1 Re 2.50
Br22 0.2282 0.5614 0.0027  1 Re 2.50
Br23 0.2718 0.4386 0.5027  1 Re 2.50
Br24 0.7718 0.0614 0.4973  1 Re 2.50
Br25 0.1515 0.8442 0.1096  1 Re 2.49
Br26 0.6515 0.6558 0.8904  1 Re 2.49
Br27 0.8485 0.3442 0.3904  1 Re 2.49
Br28 0.3485 0.1558 0.6096  1 Re 2.49
Br29 0.8485 0.1558 0.8904  1 Re 2.49
Br30 0.3485 0.3442 0.1096  1 Re 2.49
Br31 0.1515 0.6558 0.6096  1 Re 2.49
Br32 0.6515 0.8442 0.3904  1 Re 2.49

Values from the calculation:
ρ ... 4514 kg/m³
DFT total energy ... -200.2 eV/cell
SG ... Pbca, No. 61
Crystal system ... orthorhombic
Energy of formation ... -1212 meV per atom



Record 2
VASP calculation (PBE) on a relaxed Cs3SbBr6 crystal.

a = 8.8110 Å, b = 8.8110 Å, c = 8.8110 Å
α = 60.00°, β = 60.00°, γ = 60.00°
Last column: nearest neighbours and their distance in Å.
Atoms (fractional coordinates):
Cs1 0.7500 0.7500 0.7500  12 Br 4.42
Cs2 0.2500 0.2500 0.2500  12 Br 4.42
Cs3 0.5000 0.5000 0.5000  6 Br 3.41
Sb1 0.0000 0.0000 0.0000  6 Br 2.82
Br1 0.7738 0.2262 0.2262  1 Sb 2.82
Br2 0.2262 0.2262 0.7738  1 Sb 2.82
Br3 0.2262 0.7738 0.7738  1 Sb 2.82
Br4 0.2262 0.7738 0.2262  1 Sb 2.82
Br5 0.7738 0.2262 0.7738  1 Sb 2.82
Br6 0.7738 0.7738 0.2262  1 Sb 2.82

Values from the calculation:
Size of the total moment ... 0.000 μB per cell
ρ ... 3433 kg/m³
DFT total energy ... -29.9 eV/cell
SG ... Fm-3m, No. 225
Crystal system ... cubic
Energy of formation ... -1644 meV per atom



Record 3
VASP calculation (PBE) on a relaxed Cs3Sb2Br9 crystal.

a = 8.1413 Å, b = 8.1413 Å, c = 9.9126 Å
α = 90.00°, β = 90.00°, γ = 120.00°
Last column: nearest neighbours and their distance in Å.
Atoms (fractional coordinates):
Cs1 0.6667 0.3333 0.6778  12 Br 3.97-4.07
Cs2 0.3333 0.6667 0.3222  12 Br 3.97-4.07
Cs3 0.0000 0.0000 0.0000  12 Br 4.07-4.13
Sb1 0.6667 0.3333 0.1867  6 Br 2.69-2.99
Sb2 0.3333 0.6667 0.8133  6 Br 2.69-2.99
Br1 0.6528 0.8264 0.6648  1 Sb 2.69
Br2 0.8264 0.1736 0.3352  1 Sb 2.69
Br3 0.1736 0.3472 0.6648  1 Sb 2.69
Br4 0.5000 0.0000 0.0000  2 Sb 2.99
Br5 0.8264 0.6528 0.3352  1 Sb 2.69
Br6 0.3472 0.1736 0.3352  1 Sb 2.69
Br7 0.1736 0.8264 0.6648  1 Sb 2.69
Br8 0.5000 0.5000 0.0000  2 Sb 2.99
Br9 0.0000 0.5000 0.0000  2 Sb 2.99

Values from the calculation:
ρ ... 3973 kg/m³
DFT total energy ... -42.5 eV/cell
SG ... P-3m1, No. 164
Crystal system ... trigonal
Energy of formation ... -1546 meV per atom



Record 4
VASP calculation (PBE) on a relaxed Cs2SbBr6 crystal.

a = 7.9653 Å, b = 7.9653 Å, c = 7.9653 Å
α = 60.00°, β = 60.00°, γ = 60.00°
Last column: nearest neighbours and their distance in Å.
Atoms (fractional coordinates):
Cs1 0.7500 0.7500 0.7500  12 Br 3.98
Cs2 0.2500 0.2500 0.2500  12 Br 3.98
Sb1 0.5000 0.5000 0.5000  6 Br 2.71
Br1 0.2591 0.2591 0.7409  1 Sb 2.71
Br2 0.7409 0.7409 0.2591  1 Sb 2.71
Br3 0.7409 0.2591 0.7409  1 Sb 2.71
Br4 0.2591 0.7409 0.2591  1 Sb 2.71
Br5 0.7409 0.2591 0.2591  1 Sb 2.71
Br6 0.2591 0.7409 0.7409  1 Sb 2.71

Values from the calculation:
ρ ... 4029 kg/m³
DFT total energy ... -26.1 eV/cell
SG ... Fm-3m, No. 225
Crystal system ... cubic
Energy of formation ... -1509 meV per atom



Record 5
VASP calculation (PBE) on a relaxed Cs2TlSbBr6 crystal.

a = 8.4637 Å, b = 8.4637 Å, c = 8.4637 Å
α = 60.00°, β = 60.00°, γ = 60.00°
Last column: nearest neighbours and their distance in Å.
Atoms (fractional coordinates):
Cs1 0.7500 0.7500 0.7500  12 Br 4.24
Cs2 0.2500 0.2500 0.2500  12 Br 4.24
Tl1 0.5000 0.5000 0.5000  6 Br 3.17
Sb1 0.0000 0.0000 0.0000  6 Br 2.82
Br1 0.7645 0.2355 0.2355  1 Sb 2.82
Br2 0.2355 0.2355 0.7645  1 Sb 2.82
Br3 0.2355 0.7645 0.7645  1 Sb 2.82
Br4 0.2355 0.7645 0.2355  1 Sb 2.82
Br5 0.7645 0.2355 0.7645  1 Sb 2.82
Br6 0.7645 0.7645 0.2355  1 Sb 2.82

Values from the calculation:
Size of the total moment ... 0.001 μB per cell
ρ ... 4150 kg/m³
DFT total energy ... -29.9 eV/cell
SG ... Fm-3m, No. 225
Crystal system ... cubic
Energy of formation ... -1504 meV per atom



Record 6
VASP calculation (PBE) on a relaxed CsScBr3 crystal.

a = 6.2673 Å, b = 8.0350 Å, c = 8.0350 Å
α = 120.00°, β = 90.00°, γ = 90.00°
Last column: nearest neighbours and their distance in Å.
Atoms (fractional coordinates):
Cs1 0.2500 0.6667 0.3333  12 Br 3.93-4.02
Cs2 0.7500 0.3333 0.6667  12 Br 3.93-4.02
Sc1 0.0000 0.0000 0.0000  6 Br 2.76
Sc2 0.5000 0.0000 0.0000  6 Br 2.76
Br1 0.7500 0.8368 0.1632  2 Sc 2.76
Br2 0.2500 0.1632 0.8368  2 Sc 2.76
Br3 0.7500 0.3265 0.1632  2 Sc 2.76
Br4 0.2500 0.6735 0.8368  2 Sc 2.76
Br5 0.7500 0.8368 0.6735  2 Sc 2.76
Br6 0.2500 0.1632 0.3265  2 Sc 2.76

Values from the calculation:
ρ ... 3958 kg/m³
DFT total energy ... -41.2 eV/cell
SG ... P6_3/mmc, No. 194
Crystal system ... hexagonal
Energy of formation ... -2013 meV per atom
Excess energy over the best structure of this formula in the dataset ... 0 meV per atom



Record 7
VASP calculation (PBE) on a relaxed Cs3Sc2Br9 crystal.

a = 7.9374 Å, b = 7.9374 Å, c = 20.0187 Å
α = 90.00°, β = 90.00°, γ = 120.00°
Last column: nearest neighbours and their distance in Å.
Atoms (fractional coordinates):
Cs1 0.3333 0.6667 0.0722  12 Br 3.96-4.34
Cs2 0.6667 0.3333 0.9278  12 Br 3.96-4.34
Cs3 0.6667 0.3333 0.5722  12 Br 3.96-4.34
Cs4 0.3333 0.6667 0.4278  12 Br 3.96-4.34
Cs5 0.0000 0.0000 0.2500  12 Br 3.95-3.97
Cs6 0.0000 0.0000 0.7500  12 Br 3.95-3.97
Sc1 0.3333 0.6667 0.6582  6 Br 2.57-2.78
Sc2 0.6667 0.3333 0.3418  6 Br 2.57-2.78
Sc3 0.6667 0.3333 0.1582  6 Br 2.57-2.78
Sc4 0.3333 0.6667 0.8418  6 Br 2.57-2.78
Br1 0.1732 0.3464 0.5924  1 Sc 2.57
Br2 0.8268 0.6536 0.4076  1 Sc 2.57
Br3 0.6536 0.8268 0.5924  1 Sc 2.57
Br4 0.8268 0.6536 0.0924  1 Sc 2.57
Br5 0.3464 0.1732 0.4076  1 Sc 2.57
Br6 0.1732 0.3464 0.9076  1 Sc 2.57
Br7 0.1732 0.8268 0.5924  1 Sc 2.57
Br8 0.3464 0.1732 0.0924  1 Sc 2.57
Br9 0.8268 0.1732 0.4076  1 Sc 2.57
Br10 0.6536 0.8268 0.9076  1 Sc 2.57
Br11 0.8268 0.1732 0.0924  1 Sc 2.57
Br12 0.1732 0.8268 0.9076  1 Sc 2.57
Br13 0.5146 0.0293 0.2500  2 Sc 2.78
Br14 0.4854 0.9707 0.7500  2 Sc 2.78
Br15 0.9707 0.4854 0.2500  2 Sc 2.78
Br16 0.0293 0.5146 0.7500  2 Sc 2.78
Br17 0.5146 0.4854 0.2500  2 Sc 2.78
Br18 0.4854 0.5146 0.7500  2 Sc 2.78

Values from the calculation:
ρ ... 3672 kg/m³
DFT total energy ... -111.4 eV/cell
SG ... P6_3/mmc, No. 194
Crystal system ... hexagonal
Energy of formation ... -2172 meV per atom



Record 8
VASP calculation (PBE) on a relaxed CsScBr3 crystal.

a = 4.0400 Å, b = 9.8907 Å, c = 16.9011 Å
α = 90.00°, β = 90.00°, γ = 90.00°
Last column: nearest neighbours and their distance in Å.
Atoms (fractional coordinates):
Cs1 0.2500 0.0626 0.1699  8 Br 3.64-3.93, 2 Cs 4.04
Cs2 0.7500 0.9374 0.8301  8 Br 3.64-3.93, 2 Cs 4.04
Cs3 0.2500 0.5626 0.3301  8 Br 3.64-3.93, 2 Cs 4.04
Cs4 0.7500 0.4374 0.6699  8 Br 3.64-3.93, 2 Cs 4.04
Sc1 0.7500 0.1277 0.4524  6 Br 2.73-2.81
Sc2 0.2500 0.8723 0.5476  6 Br 2.73-2.81
Sc3 0.7500 0.6277 0.0476  6 Br 2.73-2.81
Sc4 0.2500 0.3723 0.9524  6 Br 2.73-2.81
Br1 0.2500 0.3084 0.4995  2 Sc 2.81
Br2 0.7500 0.6916 0.5005  2 Sc 2.81
Br3 0.2500 0.8084 0.0005  2 Sc 2.81
Br4 0.7500 0.1916 0.9995  2 Sc 2.81
Br5 0.7500 0.0375 0.6052  3 Sc 2.73-2.77
Br6 0.2500 0.9625 0.3948  3 Sc 2.73-2.77
Br7 0.7500 0.5375 0.8948  3 Sc 2.73-2.77
Br8 0.2500 0.4625 0.1052  3 Sc 2.73-2.77
Br9 0.7500 0.2566 0.3086  1 Sc 2.74
Br10 0.2500 0.7434 0.6914  1 Sc 2.74
Br11 0.7500 0.7566 0.1914  1 Sc 2.74
Br12 0.2500 0.2434 0.8086  1 Sc 2.74

Values from the calculation:
Size of the total moment ... 4.001 μB per cell
ρ ... 4107 kg/m³
DFT total energy ... -81.0 eV/cell
SG ... Pnma, No. 62
Crystal system ... orthorhombic
Energy of formation ... -1943 meV per atom
Excess energy over the best structure of this formula in the dataset ... 70 meV per atom



ρ of number 2 (Cs3SbBr6)?
3433 kg/m³



Look up the energy of formation of the seventh one.
-2172 meV per atom



Look up the DFT total energy of the third one.
-42.5 eV/cell